# Ba3LuIr2O9 (meta-GGA r2SCAN, relaxed)
data_Ba3LuIr2O9
_cell_length_a 5.8659
_cell_length_b 5.8659
_cell_length_c 14.4449
_cell_angle_alpha 90.00
_cell_angle_beta 90.00
_cell_angle_gamma 120.00
_symmetry_space_group_name_H-M 'P 63/m m c'
_symmetry_Int_Tables_number 194
_symmetry_space_group_name_Hall '-P 6c 2c'
loop_
_atom_site_label
_atom_site_fract_x
_atom_site_fract_y
_atom_site_fract_z
Ba1 0.0000 0.0000 0.2500
Ba2 0.3333 0.6667 0.0903
Lu1 0.0000 0.0000 0.0000
Ir1 0.3333 0.6667 0.6633
O1 0.0162 0.5081 0.7500
O2 0.1741 0.3483 0.5849
# Magnetic moment = 0.003 μB per cell
# Calculated density = 8.6 g/cm³
# Calculated formation energy = -2.37 eV per atom
# DFT total energy = -20.77 eV/atom

=====

# Na3TmCl6 (meta-GGA r2SCAN, relaxed)
data_Na3TmCl6
_cell_length_a 6.7477
_cell_length_b 7.2193
_cell_length_c 12.0019
_cell_angle_alpha 90.00
_cell_angle_beta 123.21
_cell_angle_gamma 90.00
_symmetry_space_group_name_H-M 'P 1 21/c 1'
_symmetry_Int_Tables_number 14
_symmetry_space_group_name_Hall '-P 2ybc'
loop_
_atom_site_label
_atom_site_fract_x
_atom_site_fract_y
_atom_site_fract_z
Na1 0.0000 0.0000 0.0000
Na2 0.2109 0.0824 0.7399
Tm1 0.5000 0.0000 0.5000
Cl1 0.1213 0.1794 0.4365
Cl2 0.2520 0.6970 0.4202
Cl3 0.4018 0.0638 0.2610
# Magnetic moment = 0.000 μB per cell
# Calculated density = 3.1 g/cm³
# Calculated formation energy = -2.24 eV per atom
# DFT total energy = -10.52 eV/atom

=====

# CoAuO2 (meta-GGA r2SCAN, relaxed)
data_CoAuO2
_cell_length_a 2.8846
_cell_length_b 2.8846
_cell_length_c 12.1725
_cell_angle_alpha 90.00
_cell_angle_beta 90.00
_cell_angle_gamma 120.00
_symmetry_space_group_name_H-M 'P 63/m m c'
_symmetry_Int_Tables_number 194
_symmetry_space_group_name_Hall '-P 6c 2c'
loop_
_atom_site_label
_atom_site_fract_x
_atom_site_fract_y
_atom_site_fract_z
Co1 0.0000 0.0000 0.0000
Au1 0.3333 0.6667 0.2500
O1 0.3333 0.6667 0.0781
# Magnetic moment = 0.000 μB per cell
# Calculated density = 10.9 g/cm³
# Calculated formation energy = -0.93 eV per atom
# DFT total energy = -19.87 eV/atom